# UTe (PBE, relaxed)
data_UTe
_space_group_name_H-M_alt 'P 1'
_space_group_IT_number 1
_cell_length_a 6.159
_cell_length_b 6.159
_cell_length_c 6.159
_cell_angle_alpha 90.00
_cell_angle_beta 90.00
_cell_angle_gamma 90.00
loop_
_space_group_symop_operation_xyz
'x,y,z'
loop_
_atom_site_label
_atom_site_type_symbol
_atom_site_fract_x
_atom_site_fract_y
_atom_site_fract_z
U1 U 0.000 0.000 0.000
U2 U 0.000 0.500 0.500
U3 U 0.500 0.000 0.500
U4 U 0.500 0.500 0.000
Te1 Te 0.000 0.000 0.500
Te2 Te 0.000 0.500 0.000
Te3 Te 0.500 0.000 0.000
Te4 Te 0.500 0.500 0.500
# Space group: Fm-3m
# Total energy after the MP2020 corrections: -15.7 eV/f.u.
# E_form: -0.631 eV per atom
# Uncorrected energy: -7.64 eV per atom
# Crystal system: cubic


# Zr4Co7Ge6 (PBE, relaxed)
data_Zr4Co7Ge6
_space_group_name_H-M_alt 'P 1'
_space_group_IT_number 1
_cell_length_a 6.840
_cell_length_b 6.840
_cell_length_c 6.840
_cell_angle_alpha 109.47
_cell_angle_beta 109.47
_cell_angle_gamma 109.47
loop_
_space_group_symop_operation_xyz
'x,y,z'
loop_
_atom_site_label
_atom_site_type_symbol
_atom_site_fract_x
_atom_site_fract_y
_atom_site_fract_z
Zr1 Zr 0.000 0.000 0.500
Zr2 Zr 0.000 0.500 0.000
Zr3 Zr 0.500 0.000 0.000
Zr4 Zr 0.500 0.500 0.500
Co1 Co 0.000 0.000 0.000
Co2 Co 0.250 0.500 0.750
Co3 Co 0.250 0.750 0.500
Co4 Co 0.500 0.250 0.750
Co5 Co 0.500 0.750 0.250
Co6 Co 0.750 0.250 0.500
Co7 Co 0.750 0.500 0.250
Ge1 Ge 0.000 0.319 0.319
Ge2 Ge 0.000 0.681 0.681
Ge3 Ge 0.319 0.000 0.319
Ge4 Ge 0.319 0.319 0.000
Ge5 Ge 0.681 0.000 0.681
Ge6 Ge 0.681 0.681 0.000
# Space group: Im-3m
# E_form: -0.603 eV per atom
# Uncorrected energy: -7.17 eV per atom
# Crystal system: cubic


# Ti2H2O3 (PBE, relaxed)
data_Ti2H2O3
_space_group_name_H-M_alt 'P 1'
_space_group_IT_number 1
_cell_length_a 3.115
_cell_length_b 3.115
_cell_length_c 8.670
_cell_angle_alpha 90.00
_cell_angle_beta 90.00
_cell_angle_gamma 120.00
loop_
_space_group_symop_operation_xyz
'x,y,z'
loop_
_atom_site_label
_atom_site_type_symbol
_atom_site_fract_x
_atom_site_fract_y
_atom_site_fract_z
Ti1 Ti 0.333 0.667 0.125
Ti2 Ti 0.667 0.333 0.875
H1 H 0.333 0.667 0.625
H2 H 0.667 0.333 0.375
O1 O 0.000 0.000 0.000
O2 O 0.333 0.667 0.740
O3 O 0.667 0.333 0.260
# Space group: P-3m1
# Total energy after the MP2020 corrections: -51.6 eV/f.u.
# E_form: -2.028 eV per atom
# Uncorrected energy: -7.08 eV per atom
# Crystal system: trigonal


# TiAs3 (PBE, relaxed)
data_TiAs3
_space_group_name_H-M_alt 'P 1'
_space_group_IT_number 1
_cell_length_a 5.880
_cell_length_b 5.880
_cell_length_c 4.925
_cell_angle_alpha 90.00
_cell_angle_beta 90.00
_cell_angle_gamma 120.00
loop_
_space_group_symop_operation_xyz
'x,y,z'
loop_
_atom_site_label
_atom_site_type_symbol
_atom_site_fract_x
_atom_site_fract_y
_atom_site_fract_z
Ti1 Ti 0.333 0.667 0.250
Ti2 Ti 0.667 0.333 0.750
As1 As 0.184 0.368 0.750
As2 As 0.184 0.816 0.750
As3 As 0.368 0.184 0.250
As4 As 0.632 0.816 0.750
As5 As 0.816 0.184 0.250
As6 As 0.816 0.632 0.250
# Space group: P6_3/mmc
# E_form: -0.042 eV per atom
# Uncorrected energy: -5.51 eV per atom
# Crystal system: hexagonal


# Li5IO6 (PBE, relaxed)
data_Li5IO6
_space_group_name_H-M_alt 'P 1'
_space_group_IT_number 1
_cell_length_a 5.175
_cell_length_b 5.175
_cell_length_c 14.502
_cell_angle_alpha 90.00
_cell_angle_beta 90.00
_cell_angle_gamma 120.00
loop_
_space_group_symop_operation_xyz
'x,y,z'
loop_
_atom_site_label
_atom_site_type_symbol
_atom_site_fract_x
_atom_site_fract_y
_atom_site_fract_z
Li1 Li 0.216 0.108 0.000
Li2 Li 0.222 0.444 0.167
Li3 Li 0.222 0.444 0.667
Li4 Li 0.222 0.778 0.333
Li5 Li 0.222 0.778 0.833
Li6 Li 0.223 0.111 0.500
Li7 Li 0.553 0.106 0.667
Li8 Li 0.553 0.447 0.333
Li9 Li 0.556 0.778 0.000
Li10 Li 0.556 0.778 0.500
Li11 Li 0.889 0.111 0.833
Li12 Li 0.889 0.777 0.167
Li13 Li 0.892 0.108 0.333
Li14 Li 0.892 0.784 0.667
Li15 Li 0.894 0.447 0.000
I1 I 0.556 0.111 0.167
I2 I 0.556 0.444 0.833
I3 I 0.889 0.444 0.500
O1 O 0.189 0.445 0.423
O2 O 0.189 0.744 0.577
O3 O 0.255 0.110 0.244
O4 O 0.255 0.145 0.756
O5 O 0.256 0.445 0.910
O6 O 0.256 0.811 0.090
O7 O 0.554 0.143 0.908
O8 O 0.554 0.411 0.092
O9 O 0.555 0.744 0.757
O10 O 0.555 0.811 0.243
O11 O 0.589 0.143 0.425
O12 O 0.589 0.446 0.575
O13 O 0.855 0.110 0.089
O14 O 0.855 0.745 0.911
O15 O 0.857 0.411 0.242
O16 O 0.857 0.446 0.758
O17 O 0.890 0.145 0.577
O18 O 0.890 0.745 0.423
# Space group: P3_112
# Total energy after the MP2020 corrections: -63.6 eV/f.u.
# E_form: -1.900 eV per atom
# Uncorrected energy: -4.95 eV per atom
# Crystal system: trigonal


# UGe2Rh2 (PBE, relaxed)
data_UGe2Rh2
_space_group_name_H-M_alt 'P 1'
_space_group_IT_number 1
_cell_length_a 4.115
_cell_length_b 4.115
_cell_length_c 11.003
_cell_angle_alpha 90.00
_cell_angle_beta 90.00
_cell_angle_gamma 90.00
loop_
_space_group_symop_operation_xyz
'x,y,z'
loop_
_atom_site_label
_atom_site_type_symbol
_atom_site_fract_x
_atom_site_fract_y
_atom_site_fract_z
U1 U 0.000 0.000 0.000
U2 U 0.500 0.500 0.454
Ge1 Ge 0.000 0.000 0.319
Ge2 Ge 0.000 0.000 0.542
Ge3 Ge 0.000 0.500 0.697
Ge4 Ge 0.500 0.000 0.697
Rh1 Rh 0.000 0.500 0.199
Rh2 Rh 0.500 0.000 0.199
Rh3 Rh 0.500 0.500 0.039
Rh4 Rh 0.500 0.500 0.807
# Space group: P4mm
# E_form: -0.233 eV per atom
# Uncorrected energy: -7.29 eV per atom
# Crystal system: tetragonal


# Lu2Te3 (PBE, relaxed)
data_Lu2Te3
_space_group_name_H-M_alt 'P 1'
_space_group_IT_number 1
_cell_length_a 14.248
_cell_length_b 13.594
_cell_length_c 7.418
_cell_angle_alpha 79.48
_cell_angle_beta 69.73
_cell_angle_gamma 30.79
loop_
_space_group_symop_operation_xyz
'x,y,z'
loop_
_atom_site_label
_atom_site_type_symbol
_atom_site_fract_x
_atom_site_fract_y
_atom_site_fract_z
Lu1 Lu 0.042 0.042 0.208
Lu2 Lu 0.125 0.125 0.625
Lu3 Lu 0.208 0.208 0.042
Lu4 Lu 0.375 0.375 0.875
Lu5 Lu 0.625 0.625 0.125
Lu6 Lu 0.792 0.792 0.958
Lu7 Lu 0.875 0.875 0.375
Lu8 Lu 0.958 0.958 0.792
Te1 Te 0.043 0.541 0.208
Te2 Te 0.128 0.622 0.622
Te3 Te 0.208 0.708 0.043
Te4 Te 0.292 0.792 0.459
Te5 Te 0.378 0.872 0.872
Te6 Te 0.459 0.957 0.292
Te7 Te 0.541 0.043 0.708
Te8 Te 0.622 0.128 0.128
Te9 Te 0.708 0.208 0.541
Te10 Te 0.792 0.292 0.957
Te11 Te 0.872 0.378 0.378
Te12 Te 0.957 0.459 0.792
# Space group: Fddd
# Total energy after the MP2020 corrections: -26.4 eV/f.u.
# E_form: -1.594 eV per atom
# Uncorrected energy: -5.04 eV per atom
# Crystal system: orthorhombic


# Ca3Au4 (PBE, relaxed)
data_Ca3Au4
_space_group_name_H-M_alt 'P 1'
_space_group_IT_number 1
_cell_length_a 8.289
_cell_length_b 8.289
_cell_length_c 8.289
_cell_angle_alpha 114.41
_cell_angle_beta 114.41
_cell_angle_gamma 114.41
loop_
_space_group_symop_operation_xyz
'x,y,z'
loop_
_atom_site_label
_atom_site_type_symbol
_atom_site_fract_x
_atom_site_fract_y
_atom_site_fract_z
Ca1 Ca 0.026 0.281 0.400
Ca2 Ca 0.281 0.400 0.026
Ca3 Ca 0.400 0.026 0.281
Ca4 Ca 0.600 0.974 0.719
Ca5 Ca 0.719 0.600 0.974
Ca6 Ca 0.974 0.719 0.600
Au1 Au 0.000 0.000 0.000
Au2 Au 0.056 0.555 0.222
Au3 Au 0.222 0.056 0.555
Au4 Au 0.445 0.778 0.944
Au5 Au 0.500 0.500 0.500
Au6 Au 0.555 0.222 0.056
Au7 Au 0.778 0.944 0.445
Au8 Au 0.944 0.445 0.778
# Space group: R-3
# E_form: -0.789 eV per atom
# Uncorrected energy: -3.52 eV per atom
# Crystal system: trigonal


# CeSe2 (PBE, relaxed)
data_CeSe2
_space_group_name_H-M_alt 'P 1'
_space_group_IT_number 1
_cell_length_a 4.905
_cell_length_b 4.905
_cell_length_c 11.789
_cell_angle_alpha 90.00
_cell_angle_beta 90.00
_cell_angle_gamma 120.00
loop_
_space_group_symop_operation_xyz
'x,y,z'
loop_
_atom_site_label
_atom_site_type_symbol
_atom_site_fract_x
_atom_site_fract_y
_atom_site_fract_z
Ce1 Ce 0.000 0.661 0.333
Ce2 Ce 0.339 0.339 0.000
Ce3 Ce 0.661 0.000 0.667
Se1 Se 0.004 0.670 0.081
Se2 Se 0.330 0.334 0.748
Se3 Se 0.334 0.330 0.252
Se4 Se 0.666 0.996 0.415
Se5 Se 0.670 0.004 0.919
Se6 Se 0.996 0.666 0.585
# Space group: P3_221
# Total energy after the MP2020 corrections: -18.6 eV/f.u.
# E_form: -1.906 eV per atom
# Uncorrected energy: -5.90 eV per atom
# Crystal system: trigonal


# SrEuNbBiO6 (PBE, relaxed)
data_SrEuNbBiO6
_space_group_name_H-M_alt 'P 1'
_space_group_IT_number 1
_cell_length_a 5.893
_cell_length_b 6.092
_cell_length_c 8.446
_cell_angle_alpha 90.12
_cell_angle_beta 90.31
_cell_angle_gamma 90.08
loop_
_space_group_symop_operation_xyz
'x,y,z'
loop_
_atom_site_label
_atom_site_type_symbol
_atom_site_fract_x
_atom_site_fract_y
_atom_site_fract_z
Sr1 Sr 0.012 0.052 0.250
Sr2 Sr 0.988 0.948 0.750
Eu1 Eu 0.483 0.554 0.252
Eu2 Eu 0.517 0.446 0.748
Nb1 Nb 0.000 0.500 0.000
Nb2 Nb 0.500 0.000 0.500
Bi1 Bi 0.000 0.500 0.500
Bi2 Bi 0.500 0.000 0.000
O1 O 0.112 0.535 0.772
O2 O 0.176 0.779 0.058
O3 O 0.219 0.817 0.449
O4 O 0.280 0.317 0.057
O5 O 0.326 0.282 0.440
O6 O 0.397 0.042 0.729
O7 O 0.603 0.958 0.271
O8 O 0.674 0.718 0.560
O9 O 0.720 0.683 0.943
O10 O 0.781 0.183 0.551
O11 O 0.824 0.221 0.942
O12 O 0.888 0.465 0.228
# Space group: P-1
# Total energy after the MP2020 corrections: -84.2 eV/f.u.
# E_form: -2.857 eV per atom
# Uncorrected energy: -8.01 eV per atom
# Crystal system: triclinic


# CsAgSe4 (PBE, relaxed)
data_CsAgSe4
_space_group_name_H-M_alt 'P 1'
_space_group_IT_number 1
_cell_length_a 5.925
_cell_length_b 9.492
_cell_length_c 14.466
_cell_angle_alpha 90.00
_cell_angle_beta 90.00
_cell_angle_gamma 90.00
loop_
_space_group_symop_operation_xyz
'x,y,z'
loop_
_atom_site_label
_atom_site_type_symbol
_atom_site_fract_x
_atom_site_fract_y
_atom_site_fract_z
Cs1 Cs 0.178 0.065 0.333
Cs2 Cs 0.322 0.935 0.833
Cs3 Cs 0.678 0.435 0.667
Cs4 Cs 0.822 0.565 0.167
Ag1 Ag 0.045 0.128 0.059
Ag2 Ag 0.455 0.872 0.559
Ag3 Ag 0.545 0.372 0.941
Ag4 Ag 0.955 0.628 0.441
Se1 Se 0.083 0.580 0.930
Se2 Se 0.119 0.701 0.606
Se3 Se 0.145 0.371 0.837
Se4 Se 0.195 0.871 0.096
Se5 Se 0.305 0.129 0.596
Se6 Se 0.355 0.629 0.337
Se7 Se 0.381 0.299 0.106
Se8 Se 0.417 0.420 0.430
Se9 Se 0.583 0.920 0.070
Se10 Se 0.619 0.799 0.394
Se11 Se 0.645 0.129 0.163
Se12 Se 0.695 0.629 0.904
Se13 Se 0.805 0.371 0.404
Se14 Se 0.855 0.871 0.663
Se15 Se 0.881 0.201 0.894
Se16 Se 0.917 0.080 0.570
# Largest piezoelectric modulus: 0.1 C/m2
# Space group: P2_12_12_1
# Total energy after the MP2020 corrections: -22.0 eV/f.u.
# E_form: -0.717 eV per atom
# Uncorrected energy: -3.35 eV per atom
# Crystal system: orthorhombic


# Sr3Cr3N5 (PBE, relaxed)
data_Sr3Cr3N5
_space_group_name_H-M_alt 'P 1'
_space_group_IT_number 1
_cell_length_a 5.688
_cell_length_b 7.195
_cell_length_c 8.638
_cell_angle_alpha 107.88
_cell_angle_beta 103.16
_cell_angle_gamma 95.34
loop_
_space_group_symop_operation_xyz
'x,y,z'
loop_
_atom_site_label
_atom_site_type_symbol
_atom_site_fract_x
_atom_site_fract_y
_atom_site_fract_z
Sr1 Sr 0.152 0.180 0.209
Sr2 Sr 0.162 0.368 0.882
Sr3 Sr 0.313 0.921 0.611
Sr4 Sr 0.687 0.079 0.389
Sr5 Sr 0.838 0.632 0.118
Sr6 Sr 0.848 0.820 0.791
Cr1 Cr 0.191 0.461 0.572
Cr2 Cr 0.403 0.613 0.300
Cr3 Cr 0.414 0.823 0.973
Cr4 Cr 0.586 0.177 0.027
Cr5 Cr 0.597 0.387 0.700
Cr6 Cr 0.809 0.539 0.428
N1 N 0.127 0.562 0.384
N2 N 0.268 0.030 0.922
N3 N 0.322 0.228 0.520
N4 N 0.338 0.715 0.129
N5 N 0.427 0.614 0.782
N6 N 0.573 0.386 0.218
N7 N 0.662 0.285 0.871
N8 N 0.678 0.772 0.480
N9 N 0.732 0.970 0.078
N10 N 0.873 0.438 0.616
# Space group: P-1
# Total energy after the MP2020 corrections: -85.0 eV/f.u.
# E_form: -0.843 eV per atom
# Uncorrected energy: -7.56 eV per atom
# Crystal system: triclinic


# V2Cr2Fe (PBE, relaxed)
data_V2Cr2Fe
_space_group_name_H-M_alt 'P 1'
_space_group_IT_number 1
_cell_length_a 10.441
_cell_length_b 10.342
_cell_length_c 2.514
_cell_angle_alpha 85.29
_cell_angle_beta 80.82
_cell_angle_gamma 13.89
loop_
_space_group_symop_operation_xyz
'x,y,z'
loop_
_atom_site_label
_atom_site_type_symbol
_atom_site_fract_x
_atom_site_fract_y
_atom_site_fract_z
V1 V 0.000 0.000 0.000
V2 V 0.393 0.393 0.607
Cr1 Cr 0.197 0.197 0.803
Cr2 Cr 0.601 0.601 0.399
Fe1 Fe 0.794 0.794 0.206
# Space group: Fmm2
# E_form: -0.023 eV per atom
# Uncorrected energy: -9.21 eV per atom
# Crystal system: orthorhombic


# Li3Cu3P2O8 (PBE, relaxed)
data_Li3Cu3P2O8
_space_group_name_H-M_alt 'P 1'
_space_group_IT_number 1
_cell_length_a 5.144
_cell_length_b 6.223
_cell_length_c 5.440
_cell_angle_alpha 90.00
_cell_angle_beta 90.29
_cell_angle_gamma 90.00
loop_
_space_group_symop_operation_xyz
'x,y,z'
loop_
_atom_site_label
_atom_site_type_symbol
_atom_site_fract_x
_atom_site_fract_y
_atom_site_fract_z
Li1 Li 0.000 0.000 0.000
Li2 Li 0.998 0.254 0.520
Li3 Li 0.998 0.746 0.520
Cu1 Cu 0.515 0.500 0.663
Cu2 Cu 0.522 0.247 0.187
Cu3 Cu 0.522 0.753 0.187
P1 P 0.007 0.500 0.020
P2 P 0.503 0.000 0.674
O1 O 0.310 0.500 0.021
O2 O 0.387 0.202 0.540
O3 O 0.387 0.798 0.540
O4 O 0.390 0.000 0.939
O5 O 0.803 0.000 0.669
O6 O 0.913 0.500 0.747
O7 O 0.915 0.293 0.157
O8 O 0.915 0.707 0.157
# Space group: Pm
# Total energy after the MP2020 corrections: -101.5 eV/f.u.
# E_form: -2.064 eV per atom
# Uncorrected energy: -6.00 eV per atom
# Crystal system: monoclinic


# Ba2Sr5B4S13 (PBE, relaxed)
data_Ba2Sr5B4S13
_space_group_name_H-M_alt 'P 1'
_space_group_IT_number 1
_cell_length_a 12.828
_cell_length_b 12.828
_cell_length_c 9.907
_cell_angle_alpha 90.06
_cell_angle_beta 90.06
_cell_angle_gamma 134.49
loop_
_space_group_symop_operation_xyz
'x,y,z'
loop_
_atom_site_label
_atom_site_type_symbol
_atom_site_fract_x
_atom_site_fract_y
_atom_site_fract_z
Ba1 Ba 0.009 0.991 0.750
Ba2 Ba 0.330 0.670 0.750
Ba3 Ba 0.670 0.330 0.250
Ba4 Ba 0.991 0.009 0.250
Sr1 Sr 0.066 0.722 0.024
Sr2 Sr 0.101 0.448 0.356
Sr3 Sr 0.278 0.934 0.476
Sr4 Sr 0.448 0.101 0.856
Sr5 Sr 0.498 0.502 0.250
Sr6 Sr 0.502 0.498 0.750
Sr7 Sr 0.552 0.899 0.144
Sr8 Sr 0.722 0.066 0.524
Sr9 Sr 0.899 0.552 0.644
Sr10 Sr 0.934 0.278 0.976
B1 B 0.064 0.294 0.651
B2 B 0.284 0.519 0.071
B3 B 0.294 0.064 0.151
B4 B 0.481 0.716 0.429
B5 B 0.519 0.284 0.571
B6 B 0.706 0.936 0.849
B7 B 0.716 0.481 0.929
B8 B 0.936 0.706 0.349
S1 S 0.011 0.625 0.351
S2 S 0.017 0.173 0.514
S3 S 0.167 0.325 0.799
S4 S 0.173 0.017 0.014
S5 S 0.186 0.346 0.156
S6 S 0.200 0.800 0.750
S7 S 0.202 0.593 0.067
S8 S 0.325 0.167 0.299
S9 S 0.346 0.186 0.656
S10 S 0.370 0.533 0.494
S11 S 0.375 0.989 0.149
S12 S 0.407 0.798 0.433
S13 S 0.467 0.630 0.006
S14 S 0.533 0.370 0.994
S15 S 0.593 0.202 0.567
S16 S 0.625 0.011 0.851
S17 S 0.630 0.467 0.506
S18 S 0.654 0.814 0.344
S19 S 0.675 0.833 0.701
S20 S 0.798 0.407 0.933
S21 S 0.800 0.200 0.250
S22 S 0.814 0.654 0.844
S23 S 0.827 0.983 0.986
S24 S 0.833 0.675 0.201
S25 S 0.983 0.827 0.486
S26 S 0.989 0.375 0.649
# Space group: C2/c
# Total energy after the MP2020 corrections: -134.4 eV/f.u.
# E_form: -1.735 eV per atom
# Uncorrected energy: -5.33 eV per atom
# Crystal system: monoclinic